[1]
92
Lattice="12.065 -5.124 0.000 12.065 5.124 0.000 9.889 0.000 8.605" Properties=species:S:1:pos:R:3 comment="LiMn10P7O28, relaxed, DFT PBE with a Hubbard U" sg="R3c, No. 161" energy_ev_per_atom=-7.574 e_form_ev_per_atom=-2.49 pbc="T T T"
Mn 19.633 2.269 3.839
Mn 28.731 -0.145 4.867
Mn 27.906 2.088 8.128
Mn 17.096 0.000 4.324
Mn 0.087 0.000 0.022
Mn 27.844 -1.942 8.373
Mn 15.317 0.041 1.360
Mn 14.411 2.090 4.939
Mn 11.721 0.145 0.565
Mn 24.657 -3.044 7.825
Mn 8.196 -0.041 5.662
Mn 24.577 2.855 8.142
Mn 14.429 -2.132 4.870
Mn 19.713 -2.080 3.522
Mn 18.749 -0.189 7.333
Mn 25.870 0.189 3.030
Mn 10.896 -2.088 3.826
Mn 9.467 3.034 0.637
Mn 9.484 -2.993 0.567
Mn 10.835 1.942 4.070
O 18.381 -1.456 5.329
O 13.486 -1.152 0.777
O 18.430 -3.972 5.079
O 25.346 0.759 7.717
O 12.791 2.788 3.523
O 15.375 3.818 3.473
O 20.910 -3.699 7.476
O 13.167 -2.259 3.099
O 8.641 1.476 2.210
O 8.964 -0.718 0.936
O 18.932 0.157 3.148
O 12.302 -1.636 5.458
O 16.216 2.899 1.148
O 13.370 3.826 1.291
O 17.466 0.105 1.037
O 15.966 -1.425 3.173
O 21.537 1.560 2.962
O 16.282 -2.891 5.715
O 16.038 -2.258 0.854
O 21.160 2.225 5.450
O 22.476 0.014 1.287
O 27.667 0.000 6.998
O 20.982 -2.867 5.156
O 18.509 3.801 5.830
O 19.725 -0.936 1.020
O 13.436 -3.668 1.027
O 22.930 -2.254 6.595
O 8.337 -0.759 3.415
O 13.564 1.324 1.528
O 17.985 -2.870 2.292
O 17.736 2.336 7.826
O 14.547 1.031 7.746
O 11.293 2.338 1.589
O 10.345 -0.105 5.339
O 21.668 -1.031 3.444
O 17.790 3.330 3.064
O 20.320 1.307 7.776
O 12.604 0.936 5.322
O 11.338 -2.233 1.413
O 10.657 0.000 2.696
O 23.692 0.460 3.582
O 15.960 1.439 3.196
O 18.314 1.299 5.593
O 15.778 -3.930 2.878
O 25.651 -1.476 6.513
O 15.355 -0.014 5.589
O 20.723 -1.195 7.180
O 16.238 2.786 5.891
O 14.416 -1.560 7.265
O 19.423 1.636 1.156
O 25.973 0.718 5.239
O 20.904 3.686 7.499
O 22.734 1.794 7.366
O 11.812 -0.157 7.450
O 18.111 -2.865 7.402
O 16.571 -0.460 7.884
P 22.348 0.212 2.843
P 9.132 0.000 2.310
P 21.301 2.253 6.982
P 26.142 0.000 6.612
P 15.227 -0.212 7.145
P 16.356 2.871 2.680
P 12.872 -2.328 1.588
P 18.904 0.236 1.592
P 17.716 2.560 6.287
P 16.446 -2.659 2.323
P 17.817 -2.796 5.890
P 21.391 -2.465 6.626
P 12.772 2.564 1.985
P 11.783 -0.236 5.894
Li 6.264 0.000 1.584
Li 23.273 0.000 5.887


[2]
39
Lattice="2.417 -3.131 -7.719 4.203 7.415 -1.609 6.610 -1.185 0.114" Properties=species:S:1:pos:R:3 comment="LiMn2P2O8, relaxed, DFT PBE with a Hubbard U" sg="C2, No. 5" polymorph_energy_ev_per_atom=0.019 energy_ev_per_atom=-7.274 e_form_ev_per_atom=-2.52 pbc="T T T"
O 11.269 2.478 -7.592
O 10.616 5.355 -4.010
O 6.019 4.970 -3.365
O 5.861 5.172 -6.106
O 3.887 -1.306 -5.932
O 6.006 -0.077 -4.019
O 8.214 4.050 -2.419
O 1.958 0.602 -1.633
O 8.329 -1.583 -6.752
O 6.879 1.140 -6.375
O 6.114 -1.094 -8.209
O 10.533 2.564 -5.141
O 4.077 -1.451 -3.129
O 8.514 0.777 -8.271
O 3.037 2.542 -2.911
O 8.963 -0.810 -4.453
O 3.812 4.823 -1.103
O 5.445 0.016 -1.509
O 8.020 1.777 -0.878
O 6.115 2.525 -2.929
O 3.802 1.164 -6.352
O 7.801 3.176 -7.651
O 5.921 -2.866 -5.095
O 7.577 3.306 -4.703
Mn 6.194 -0.935 -6.047
Mn 3.721 4.567 -3.259
Mn 8.035 4.534 -6.205
Mn 10.741 0.625 -8.115
Mn 5.766 1.935 -1.057
Mn 1.929 -0.836 -3.018
P 11.063 3.372 -6.342
P 2.935 -0.073 -5.947
P 2.557 2.029 -1.539
P 7.345 1.696 -7.737
P 5.502 -0.860 -2.788
P 6.989 3.759 -3.327
Li 8.267 1.250 -4.570
Li 2.438 -3.008 -7.648
Li 4.964 1.851 -4.642


[3]
28
Lattice="-3.141 0.509 4.336 -5.854 -6.121 -3.521 4.437 -6.534 3.983" Properties=species:S:1:pos:R:3 comment="LiMnPO4, relaxed, DFT PBE with a Hubbard U" sg="Pnma, No. 62" polymorph_energy_ev_per_atom=0.053 energy_ev_per_atom=-7.132 e_form_ev_per_atom=-2.58 pbc="T T T"
Mn -0.889 -7.681 5.263
Mn -4.782 -9.318 2.634
Mn -3.669 -4.463 -0.466
Mn 0.225 -2.827 2.164
O -2.198 -9.005 4.470
O -5.675 -4.751 -0.125
O 1.118 -7.395 4.923
O -2.358 -3.141 0.328
O -0.202 -4.574 5.395
O -1.937 -8.324 -0.331
O -0.847 -1.306 1.207
O -1.915 -6.112 4.334
O 2.601 -7.636 2.876
O -2.642 -6.033 0.463
O -3.419 -8.083 1.716
O -3.710 -10.840 3.590
O -7.158 -4.511 1.922
O -4.356 -7.570 -0.598
O -2.621 -3.821 5.128
O -1.138 -4.061 3.081
P -2.456 -10.546 4.464
P -3.089 -7.516 0.314
P -2.101 -1.600 0.334
P -1.469 -4.629 4.483
Li -3.184 -7.336 3.559
Li -5.514 -6.082 -1.612
Li 0.957 -6.063 6.410
Li -1.374 -4.808 1.238


[4]
14
Lattice="0.000 4.373 0.000 0.000 0.000 9.399 4.373 0.000 0.000" Properties=species:S:1:pos:R:3 comment="LiMnPO4, relaxed, DFT PBE with a Hubbard U" polymorph_energy_ev_per_atom=0.075 energy_ev_per_atom=-7.111 e_form_ev_per_atom=-2.56 e_ij_max_c_m2=0.40 pbc="T T T"
O 3.540 3.411 0.901
O 3.148 1.354 3.798
O 0.962 3.540 8.498
O 1.225 3.020 3.798
O 1.354 1.225 5.601
O 0.833 0.962 0.901
O 3.411 0.833 8.498
O 3.020 3.148 5.601
Mn 2.187 0.000 7.050
Mn 0.000 2.187 2.350
Li 2.187 2.187 0.000
Li 0.000 0.000 4.700
P 0.000 0.000 0.000
P 2.187 2.187 4.700


[5]
72
Lattice="-0.478 -8.396 1.183 7.112 0.177 4.130 -5.839 1.741 9.997" Properties=species:S:1:pos:R:3 comment="LiMn2P3O12, relaxed, DFT PBE with a Hubbard U" sg="Pc, No. 7" polymorph_energy_ev_per_atom=0.007 energy_ev_per_atom=-7.048 e_form_ev_per_atom=-2.37 pbc="T T T"
O 0.063 -3.839 14.115
O 2.640 -5.745 6.011
O -3.032 -2.178 6.292
O 2.436 -0.386 2.938
O -0.980 -0.161 8.769
O 2.911 0.445 5.974
O 2.144 -5.848 8.496
O -3.597 -0.767 8.353
O -1.162 0.729 11.746
O -0.054 -6.044 4.088
O -4.039 0.072 10.706
O 2.703 -3.963 10.301
O 0.097 -6.738 10.250
O -1.803 -2.678 8.755
O 5.179 -6.500 6.618
O 0.841 -0.534 10.510
O 0.225 -1.737 4.188
O -3.488 -3.161 11.330
O -1.394 -1.881 11.772
O -2.166 -6.686 5.592
O 1.117 -2.198 12.531
O 2.174 -3.034 2.972
O 4.602 -1.514 6.293
O -2.025 0.379 6.495
O -2.114 -4.947 9.820
O 3.061 -2.651 8.214
O 4.642 -4.009 5.898
O -1.586 -4.826 7.429
O -4.632 -4.244 9.278
O -0.108 -0.109 2.118
O 2.668 -6.531 11.002
O 5.075 -2.347 4.036
O 0.368 -6.483 6.740
O 2.012 -2.054 5.926
O 0.200 -4.176 9.179
O -4.017 -6.717 10.026
O 3.326 -5.028 3.650
O -0.307 -2.861 1.795
O 4.045 -7.526 4.565
O 4.034 -0.131 8.432
O -2.798 -5.615 12.249
O 1.423 -0.510 8.071
O 1.351 0.568 12.945
O 0.437 -3.930 5.576
O 0.641 -4.650 11.797
O -0.403 -1.808 6.630
O -2.106 -4.161 4.895
O 0.483 -6.803 1.759
Li 2.354 -1.576 11.206
Li -2.169 -6.824 9.246
Li 1.576 -5.026 4.494
Li 4.747 0.126 5.223
P 1.051 -3.708 12.947
P -2.732 0.883 5.199
P -4.267 0.352 9.208
P 5.318 -2.673 5.544
P 3.266 -8.285 3.447
P 0.545 -2.366 5.559
P 0.515 0.108 9.135
P 3.761 -3.198 9.470
P -0.472 -6.999 2.938
P -2.711 -2.370 12.397
P 1.863 -6.503 7.130
P -1.285 -4.127 8.793
Mn -3.773 -4.936 10.793
Mn -1.917 -1.266 7.523
Mn -0.041 -0.644 12.318
Mn -0.890 -5.343 5.781
Mn 1.408 -5.341 10.160
Mn 4.351 -5.684 5.102
Mn 2.967 -1.072 7.204
Mn 1.039 -1.614 2.437


[6]
72
Lattice="-2.171 4.002 -2.268 -0.585 -6.582 -11.054 -10.767 -7.210 -2.417" Properties=species:S:1:pos:R:3 comment="Li2MnPO5, relaxed, DFT PBE with a Hubbard U" sg="P2_1/c, No. 14" polymorph_energy_ev_per_atom=0.002 energy_ev_per_atom=-6.697 e_form_ev_per_atom=-2.47 pbc="T T T"
Mn -5.664 -6.594 -9.243
Mn -5.304 -3.427 -3.645
Mn -2.317 1.624 -3.184
Mn -10.803 -8.325 -6.913
Mn -2.720 -1.464 -8.825
Mn -11.206 -11.414 -12.555
Mn -7.859 -3.196 -6.496
Mn -8.219 -6.363 -12.093
Li -7.770 -8.170 -9.555
Li -10.497 -6.636 -4.556
Li -5.941 -5.104 -11.601
Li -2.749 0.167 -5.672
Li -5.559 -8.108 -11.650
Li -10.773 -9.957 -10.066
Li -7.964 -1.681 -4.088
Li -11.419 -8.406 -12.906
Li -8.185 -5.105 -9.540
Li -2.104 -1.384 -2.832
Li -3.026 -3.154 -11.182
Li -2.567 -4.361 -8.537
Li -5.753 -1.620 -6.183
Li -7.582 -4.686 -4.138
Li -5.338 -4.685 -6.199
Li -10.956 -5.429 -7.201
O -6.578 -2.955 -4.866
O -2.377 -4.991 -10.564
O -4.060 0.767 -3.969
O -9.235 -3.148 -4.914
O -9.468 -6.282 -2.802
O -12.168 -9.943 -11.481
O -4.104 -2.982 -9.236
O -6.945 -6.834 -10.873
O -5.659 -5.374 -4.308
O -6.598 -5.811 -13.411
O -5.931 -4.639 -9.572
O -3.859 -3.601 -5.155
O -11.381 -10.099 -14.069
O -7.566 -6.627 -8.219
O -9.419 -6.808 -6.502
O -5.957 -3.163 -7.520
O -4.055 -3.508 -12.937
O -10.550 -8.119 -9.153
O -6.207 -0.301 -4.639
O -11.627 -5.816 -9.104
O -7.592 -5.150 -6.166
O -10.836 -8.568 -4.868
O -9.463 -10.557 -11.770
O -4.288 -6.642 -10.824
O -4.816 -1.439 -2.858
O -2.973 -1.671 -6.586
O -2.687 -1.222 -10.871
O -6.925 -3.978 -2.328
O -2.142 0.309 -1.670
O -1.355 0.153 -4.258
O -8.707 -8.350 -12.881
O -4.319 -6.187 -7.559
O -11.146 -4.799 -5.174
O -1.635 -2.528 -4.568
O -11.888 -7.261 -11.171
O -9.204 -3.603 -8.179
O -1.896 -3.973 -6.635
O -7.316 -9.489 -11.100
O -9.664 -6.188 -10.583
O -7.864 -4.416 -11.430
P -8.265 -9.731 -12.302
P -5.258 -0.059 -3.437
P -2.802 -6.360 -11.177
P -10.932 -6.872 -10.003
P -10.721 -3.429 -4.562
P -5.623 -3.217 -9.039
P -2.591 -2.917 -5.736
P -7.900 -6.573 -6.699


[7]
28
Lattice="-1.721 2.563 4.234 -7.423 2.060 -2.086 -2.657 -7.996 3.226" Properties=species:S:1:pos:R:3 comment="LiMnPO4, relaxed, DFT PBE with a Hubbard U" sg="P-1, No. 2" polymorph_energy_ev_per_atom=0.050 energy_ev_per_atom=-7.135 e_form_ev_per_atom=-2.58 pbc="T T T"
O -6.870 2.374 -0.026
O -7.761 -3.788 2.968
O -9.430 -3.249 5.648
O -9.545 -4.073 1.193
O -2.258 0.700 4.182
O -7.069 1.445 3.252
O -4.929 -5.748 5.401
O -4.043 0.418 2.405
O -6.875 -1.115 3.601
O -3.809 -3.095 3.807
O -7.992 -0.279 1.567
O -4.924 -2.258 1.772
O -2.699 -3.451 1.513
O -2.371 -0.123 -0.274
O -4.732 -4.818 2.122
O -9.101 0.077 3.862
Li -4.145 -0.525 0.588
Li -8.363 -0.480 -0.329
Li -7.656 -2.849 4.785
Li -3.436 -2.897 5.703
P -3.165 1.467 3.159
P -7.763 0.073 3.051
P -4.037 -3.446 2.323
P -8.636 -4.840 2.216
Mn -4.208 -6.284 3.564
Mn -7.079 -2.294 1.707
Mn -4.719 -1.079 3.668
Mn -7.594 2.913 1.811


[8]
56
Lattice="-0.600 -4.308 2.810 8.815 -0.571 1.008 -0.029 8.553 13.106" Properties=species:S:1:pos:R:3 comment="LiMnPO4, relaxed, DFT PBE with a Hubbard U" sg="P2_1/c, No. 14" polymorph_energy_ev_per_atom=0.087 energy_ev_per_atom=-7.098 e_form_ev_per_atom=-2.55 pbc="T T T"
P 7.852 -0.476 3.288
P 3.368 -2.654 4.104
P 0.354 -0.085 7.057
P 3.390 1.891 10.482
P 7.831 3.760 9.868
P 0.334 4.151 13.637
P 4.818 6.329 12.820
P 4.795 1.784 6.442
O 0.799 3.474 12.318
O 0.772 -1.105 5.962
O 0.507 4.555 8.454
O 4.374 1.038 9.600
O 4.166 3.200 10.864
O 7.386 0.201 4.606
O 7.793 4.320 14.421
O 4.378 -3.313 3.095
O 6.771 -1.520 2.861
O 3.065 1.034 11.730
O 0.393 -0.646 2.503
O 1.258 -0.309 8.310
O 4.268 6.637 11.384
O 7.414 4.780 10.962
O 4.020 0.475 6.061
O 7.429 -3.729 4.957
O 3.918 -2.963 5.540
O 1.414 5.194 14.064
O 2.126 2.253 9.689
O 7.679 -0.881 8.471
O 6.060 1.421 7.235
O 0.757 7.403 11.968
O 0.529 1.385 6.551
O 4.812 4.811 13.122
O 1.968 -3.266 3.946
O 7.657 2.290 10.374
O 5.121 2.641 5.195
O 3.812 2.637 7.325
O 3.808 6.988 13.829
O 6.928 3.983 8.614
O 6.218 6.940 12.978
O 3.373 -1.136 3.803
Mn 7.873 1.443 6.181
Mn 0.313 2.232 10.744
Mn 0.340 -1.955 4.132
Mn 3.250 4.475 14.550
Mn 4.936 -0.800 2.375
Mn 4.942 3.622 8.833
Mn 7.846 5.630 12.792
Mn 3.244 0.053 8.092
Li 5.044 -1.427 6.214
Li 1.619 7.363 13.965
Li 5.051 3.001 12.669
Li 6.566 -3.689 2.959
Li 6.559 0.637 9.480
Li 3.135 0.674 4.256
Li 1.627 3.038 7.444
Li 3.142 5.102 10.710